# 1
An optimized crystal structure of Na3CaSnP3O12, computed with GGA-PBE.

Structure (POSCAR):
```
Na3CaSnP3O12
1.0
9.215 -0.010 0.005
-4.616 7.995 0.000
0.012 0.007 22.474
O P Na Ca Sn
72 18 18 6 6
direct
0.703 0.146 0.025 O
0.511 0.358 0.419 O
0.963 0.817 0.085 O
0.298 0.478 0.753 O
0.808 0.017 0.800 O
0.649 0.531 0.637 O
0.462 0.319 0.746 O
0.110 0.626 0.356 O
0.138 0.674 0.468 O
0.138 0.464 0.968 O
0.041 0.213 0.200 O
0.449 0.161 0.530 O
0.173 0.957 0.196 O
0.345 0.474 0.080 O
0.882 0.332 0.643 O
0.460 0.125 0.643 O
0.662 0.136 0.744 O
0.002 0.223 0.313 O
0.041 0.827 0.700 O
0.345 0.871 0.580 O
0.875 0.349 0.248 O
0.366 0.482 0.360 O
0.209 0.003 0.309 O
0.505 0.883 0.367 O
0.006 0.200 0.911 O
0.553 0.887 0.480 O
0.530 0.860 0.078 O
0.511 0.153 0.919 O
0.808 0.791 0.300 O
0.366 0.885 0.860 O
0.190 0.706 0.752 O
0.806 0.013 0.415 O
0.327 0.875 0.974 O
0.963 0.145 0.585 O
0.173 0.216 0.696 O
0.772 0.965 0.688 O
0.002 0.779 0.813 O
0.187 0.150 0.088 O
0.298 0.819 0.253 O
0.449 0.288 0.030 O
0.110 0.485 0.856 O
0.844 0.029 0.086 O
0.875 0.526 0.748 O
0.844 0.815 0.586 O
0.806 0.793 0.915 O
0.460 0.335 0.143 O
0.143 0.460 0.581 O
0.006 0.806 0.411 O
0.530 0.669 0.578 O
0.196 0.000 0.913 O
0.187 0.037 0.588 O
0.517 0.822 0.753 O
0.662 0.526 0.244 O
0.190 0.484 0.252 O
0.857 0.482 0.419 O
0.196 0.196 0.413 O
0.517 0.695 0.253 O
0.882 0.550 0.143 O
0.703 0.557 0.525 O
0.848 0.551 0.029 O
0.553 0.666 0.980 O
0.772 0.807 0.188 O
0.505 0.623 0.867 O
0.857 0.375 0.919 O
0.143 0.682 0.081 O
0.649 0.118 0.137 O
0.462 0.143 0.246 O
0.327 0.452 0.474 O
0.848 0.298 0.529 O
0.630 0.151 0.421 O
0.630 0.479 0.921 O
0.209 0.206 0.809 O
0.290 0.987 0.253 P
0.693 0.987 0.748 P
0.017 0.707 0.755 P
0.693 0.706 0.248 P
0.627 0.650 0.922 P
0.363 0.319 0.086 P
0.348 0.374 0.418 P
0.627 0.977 0.422 P
0.679 0.639 0.583 P
0.030 0.376 0.915 P
0.961 0.318 0.586 P
0.290 0.303 0.753 P
0.017 0.311 0.255 P
0.030 0.654 0.415 P
0.961 0.644 0.086 P
0.679 0.040 0.083 P
0.348 0.974 0.918 P
0.363 0.044 0.586 P
0.981 0.965 0.497 Na
0.317 0.973 0.080 Na
0.368 0.356 0.246 Na
0.988 0.641 0.247 Na
0.321 0.023 0.413 Na
0.986 0.681 0.913 Na
0.667 0.330 0.331 Na
0.656 0.967 0.580 Na
0.986 0.305 0.413 Na
0.368 0.012 0.746 Na
0.656 0.689 0.080 Na
0.667 0.337 0.831 Na
0.317 0.344 0.580 Na
0.981 0.017 0.997 Na
0.321 0.298 0.913 Na
0.988 0.347 0.747 Na
0.330 0.666 0.664 Na
0.330 0.665 0.164 Na
0.988 0.995 0.352 Ca
0.988 0.993 0.852 Ca
0.329 0.667 0.519 Ca
0.672 0.346 0.685 Ca
0.329 0.662 0.019 Ca
0.672 0.326 0.185 Ca
0.341 0.669 0.817 Sn
0.995 0.003 0.151 Sn
0.341 0.672 0.317 Sn
0.671 0.328 0.984 Sn
0.995 0.992 0.651 Sn
0.671 0.343 0.484 Sn
```

## Properties
Energy relative to the lowest polymorph listed for this composition in meV per atom: 3
Energy relative to the elements in eV/atom: -2.6709
Total energy after the MP2020 corrections in eV per atom: -6.95



# 2
An optimized crystal structure of Na7Ca3TaP6O24, computed with GGA-PBE.

Structure (POSCAR):
```
Na7Ca3TaP6O24
1.0
9.331 -0.001 -0.002
-4.666 8.106 0.003
-0.004 0.006 22.667
O P Na Ta Ca
72 18 21 3 9
direct
0.835 0.044 0.072 O
0.465 0.344 0.135 O
0.132 0.651 0.075 O
0.517 0.652 0.578 O
0.220 0.219 0.809 O
0.221 0.003 0.307 O
0.869 0.511 0.750 O
0.211 0.016 0.909 O
0.470 0.122 0.636 O
0.667 0.167 0.429 O
0.671 0.162 0.027 O
0.204 0.258 0.698 O
0.046 0.777 0.688 O
0.326 0.893 0.980 O
0.344 0.863 0.577 O
0.731 0.937 0.692 O
0.482 0.152 0.250 O
0.208 0.165 0.072 O
0.839 0.509 0.027 O
0.134 0.482 0.578 O
0.381 0.467 0.367 O
0.533 0.916 0.367 O
0.882 0.342 0.642 O
0.488 0.329 0.024 O
0.975 0.787 0.796 O
0.348 0.480 0.074 O
0.503 0.338 0.429 O
0.566 0.882 0.477 O
0.843 0.331 0.532 O
0.834 0.795 0.577 O
0.778 0.794 0.194 O
0.848 0.330 0.250 O
0.204 0.040 0.578 O
0.313 0.500 0.765 O
0.496 0.632 0.869 O
0.955 0.790 0.073 O
0.520 0.869 0.075 O
0.624 0.478 0.919 O
0.783 0.779 0.307 O
0.984 0.806 0.415 O
0.666 0.511 0.532 O
0.962 0.166 0.579 O
0.135 0.502 0.868 O
0.480 0.148 0.526 O
0.016 0.222 0.194 O
0.120 0.442 0.977 O
0.670 0.518 0.250 O
0.834 0.499 0.430 O
0.175 0.686 0.767 O
0.207 0.985 0.194 O
0.658 0.541 0.642 O
0.161 0.486 0.251 O
0.360 0.863 0.871 O
0.084 0.618 0.367 O
0.012 0.207 0.907 O
0.997 0.217 0.307 O
0.664 0.138 0.750 O
0.518 0.149 0.920 O
0.810 0.010 0.798 O
0.855 0.363 0.921 O
0.316 0.433 0.477 O
0.557 0.666 0.978 O
0.882 0.537 0.137 O
0.195 0.178 0.415 O
0.513 0.675 0.251 O
0.118 0.684 0.477 O
0.326 0.839 0.251 O
0.488 0.368 0.752 O
0.822 0.015 0.415 O
0.511 0.827 0.769 O
0.799 0.791 0.909 O
0.657 0.118 0.137 O
0.646 0.987 0.422 P
0.671 0.044 0.080 P
0.306 0.325 0.756 P
0.688 0.692 0.250 P
0.011 0.692 0.750 P
0.957 0.627 0.080 P
0.373 0.329 0.078 P
0.370 0.039 0.582 P
0.004 0.312 0.250 P
0.014 0.659 0.422 P
0.348 0.978 0.921 P
0.627 0.652 0.920 P
0.670 0.630 0.585 P
0.341 0.355 0.421 P
0.030 0.374 0.920 P
0.960 0.330 0.585 P
0.685 0.987 0.751 P
0.308 0.996 0.250 P
0.363 0.363 0.248 Na
0.981 0.982 0.996 Na
0.315 0.299 0.909 Na
0.691 0.680 0.403 Na
0.658 0.703 0.085 Na
0.046 0.339 0.086 Na
0.663 0.957 0.586 Na
0.637 0.000 0.248 Na
0.333 0.667 0.175 Na
0.335 0.687 0.667 Na
0.295 0.957 0.085 Na
0.667 0.333 0.320 Na
0.320 0.011 0.403 Na
0.989 0.309 0.403 Na
0.000 0.000 0.499 Na
0.667 0.654 0.749 Na
0.042 0.704 0.586 Na
0.986 0.339 0.749 Na
0.663 0.317 0.828 Na
0.294 0.339 0.585 Na
0.000 0.637 0.248 Na
0.666 0.333 0.486 Ta
0.671 0.334 0.978 Ta
0.332 0.675 0.822 Ta
0.005 0.998 0.656 Ca
0.998 0.992 0.851 Ca
0.000 0.000 0.345 Ca
0.333 0.666 0.513 Ca
0.657 0.327 0.687 Ca
0.000 0.000 0.149 Ca
0.667 0.333 0.181 Ca
0.335 0.672 0.012 Ca
0.333 0.667 0.322 Ca
```

## Properties
Energy relative to the elements in eV/atom: -2.8837
Total energy after the MP2020 corrections in eV per atom: -7.23



# 3
An optimized crystal structure of Na2CaTaP3O12, computed with GGA-PBE.

Structure (POSCAR):
```
Na2CaTaP3O12
1.0
-4.542 -6.702 4.204
0.527 0.118 -9.078
19.007 -12.255 0.943
Ca Ta O P Na
6 6 72 18 12
direct
0.325 0.672 0.020 Ca
0.992 0.986 0.853 Ca
0.658 0.319 0.187 Ca
0.325 0.653 0.520 Ca
0.658 0.339 0.687 Ca
0.992 0.006 0.353 Ca
0.338 0.676 0.815 Ta
0.338 0.662 0.315 Ta
0.005 0.009 0.149 Ta
0.672 0.329 0.982 Ta
0.005 0.996 0.649 Ta
0.672 0.343 0.482 Ta
0.827 0.526 0.034 O
0.660 0.544 0.639 O
0.795 0.962 0.692 O
0.795 0.834 0.192 O
0.669 0.537 0.241 O
0.192 0.147 0.091 O
0.143 0.461 0.969 O
0.466 0.125 0.247 O
0.493 0.635 0.867 O
0.365 0.495 0.362 O
0.529 0.381 0.421 O
0.949 0.811 0.088 O
0.544 0.661 0.979 O
0.143 0.683 0.469 O
0.884 0.358 0.243 O
0.949 0.138 0.588 O
0.477 0.349 0.136 O
0.863 0.815 0.588 O
0.031 0.828 0.695 O
0.863 0.048 0.088 O
0.550 0.691 0.576 O
0.031 0.203 0.195 O
0.827 0.301 0.534 O
0.003 0.799 0.408 O
0.210 0.216 0.812 O
0.283 0.805 0.254 O
0.365 0.870 0.862 O
0.550 0.859 0.076 O
0.160 0.192 0.701 O
0.799 0.007 0.414 O
0.525 0.712 0.257 O
0.196 0.715 0.754 O
0.810 0.016 0.802 O
0.858 0.378 0.924 O
0.217 0.024 0.909 O
0.698 0.161 0.029 O
0.196 0.481 0.254 O
0.283 0.478 0.754 O
0.993 0.210 0.306 O
0.132 0.459 0.580 O
0.477 0.127 0.636 O
0.993 0.783 0.806 O
0.327 0.450 0.473 O
0.129 0.500 0.859 O
0.884 0.526 0.743 O
0.877 0.549 0.145 O
0.192 0.045 0.591 O
0.616 0.471 0.921 O
0.669 0.133 0.741 O
0.858 0.480 0.424 O
0.003 0.203 0.908 O
0.660 0.116 0.139 O
0.336 0.466 0.075 O
0.160 0.968 0.201 O
0.336 0.870 0.575 O
0.616 0.145 0.421 O
0.799 0.792 0.914 O
0.493 0.859 0.367 O
0.129 0.628 0.359 O
0.544 0.882 0.479 O
0.877 0.328 0.645 O
0.462 0.295 0.026 O
0.217 0.193 0.409 O
0.698 0.537 0.529 O
0.210 0.995 0.312 O
0.132 0.674 0.080 O
0.327 0.877 0.973 O
0.466 0.340 0.747 O
0.525 0.813 0.757 O
0.462 0.167 0.526 O
0.810 0.794 0.302 O
0.529 0.148 0.921 O
0.620 0.650 0.921 P
0.353 0.377 0.418 P
0.686 0.642 0.585 P
0.353 0.976 0.918 P
0.954 0.316 0.588 P
0.019 0.309 0.251 P
0.700 0.715 0.249 P
0.033 0.651 0.416 P
0.019 0.710 0.751 P
0.367 0.049 0.583 P
0.287 0.304 0.755 P
0.700 0.985 0.749 P
0.686 0.044 0.085 P
0.367 0.318 0.083 P
0.033 0.382 0.916 P
0.954 0.638 0.088 P
0.620 0.971 0.421 P
0.287 0.983 0.255 P
0.661 0.335 0.825 Na
0.313 0.006 0.412 Na
0.661 0.326 0.325 Na
0.328 0.660 0.658 Na
0.328 0.668 0.158 Na
0.995 0.002 0.491 Na
0.995 0.993 0.991 Na
0.647 0.673 0.079 Na
0.980 0.340 0.746 Na
0.647 0.974 0.579 Na
0.313 0.307 0.912 Na
0.980 0.640 0.246 Na
```

## Properties
Energy relative to the elements in eV/atom: -2.8936
Total energy after the MP2020 corrections in eV per atom: -7.74